# H8AuC2S2N4Cl

A relaxed structure of H8AuC2S2N4Cl (PBE, the Materials Project database). Values from VASP.

Computed properties:
Total energy   -194.78 eV per cell
ΔH_f (0 K)   -371 meV per atom

```
&SYSTEM
  ibrav = 0, nat = 36, ntyp = 6
/
ATOMIC_SPECIES
H 1.01 H.upf
Au 196.97 Au.upf
C 12.01 C.upf
S 32.06 S.upf
N 14.01 N.upf
Cl 35.45 Cl.upf
ATOMIC_POSITIONS crystal
H 0.017 0.541 0.252
H 0.022 0.177 0.047
H 0.099 0.660 0.926
H 0.177 0.022 0.547
H 0.185 0.208 0.236
H 0.208 0.185 0.736
H 0.340 0.901 0.574
H 0.459 0.983 0.248
H 0.541 0.017 0.752
H 0.660 0.099 0.426
H 0.792 0.815 0.264
H 0.815 0.792 0.764
H 0.823 0.978 0.453
H 0.901 0.340 0.074
H 0.978 0.823 0.953
H 0.983 0.459 0.748
Au 0.500 0.500 0.000
Au 0.500 0.500 0.500
C 0.115 0.389 0.271
C 0.389 0.115 0.771
C 0.611 0.885 0.229
C 0.885 0.611 0.729
S 0.269 0.535 0.483
S 0.465 0.731 0.017
S 0.535 0.269 0.983
S 0.731 0.465 0.517
N 0.003 0.578 0.802
N 0.106 0.245 0.181
N 0.245 0.106 0.681
N 0.422 0.997 0.698
N 0.578 0.003 0.302
N 0.755 0.894 0.319
N 0.894 0.755 0.819
N 0.997 0.422 0.198
Cl 0.128 0.872 0.250
Cl 0.872 0.128 0.750
CELL_PARAMETERS angstrom
4.565 -8.001 0.000
4.565 8.001 0.000
-2.578 0.000 7.175
```

***

# LiNbO3

A relaxed structure of LiNbO3 (PBE, the Materials Project database). Values from VASP.

Computed properties:
Total energy   -313.79 eV per cell
ΔH_f (0 K)   -2886 meV per atom

```
&SYSTEM
  ibrav = 0, nat = 40, ntyp = 3
/
ATOMIC_SPECIES
Li 6.94 Li.upf
Nb 92.91 Nb.upf
O 16.00 O.upf
ATOMIC_POSITIONS crystal
Li 0.019 0.183 0.477
Li 0.019 0.317 0.977
Li 0.280 0.122 0.730
Li 0.280 0.378 0.230
Li 0.720 0.622 0.770
Li 0.720 0.878 0.270
Li 0.981 0.683 0.023
Li 0.981 0.817 0.523
Nb 0.234 0.004 0.241
Nb 0.234 0.496 0.741
Nb 0.492 0.696 0.497
Nb 0.492 0.804 0.997
Nb 0.508 0.196 0.003
Nb 0.508 0.304 0.503
Nb 0.766 0.504 0.259
Nb 0.766 0.996 0.759
O 0.014 0.025 0.663
O 0.014 0.475 0.163
O 0.204 0.168 0.100
O 0.204 0.332 0.600
O 0.223 0.678 0.599
O 0.223 0.822 0.099
O 0.329 0.189 0.367
O 0.329 0.311 0.867
O 0.415 0.637 0.875
O 0.415 0.863 0.375
O 0.438 0.510 0.369
O 0.438 0.990 0.869
O 0.562 0.010 0.131
O 0.562 0.490 0.631
O 0.585 0.137 0.625
O 0.585 0.363 0.125
O 0.671 0.689 0.133
O 0.671 0.811 0.633
O 0.777 0.178 0.901
O 0.777 0.322 0.401
O 0.796 0.668 0.400
O 0.796 0.832 0.900
O 0.986 0.525 0.837
O 0.986 0.975 0.337
CELL_PARAMETERS angstrom
6.308 0.000 0.000
0.000 8.348 0.000
-0.068 0.000 9.574
```

***

# Na2GaSnP3O12

A relaxed structure of Na2GaSnP3O12 (PBE, the Materials Project database). Values from VASP.

Computed properties:
Total energy   -751.47 eV per cell
ΔH_f (0 K)   -2536 meV per atom

```
&SYSTEM
  ibrav = 0, nat = 114, ntyp = 5
/
ATOMIC_SPECIES
Na 22.99 Na.upf
Sn 118.71 Sn.upf
O 16.00 O.upf
P 30.97 P.upf
Ga 69.72 Ga.upf
ATOMIC_POSITIONS crystal
Na 0.638 0.635 0.749
Na 0.667 0.333 0.831
Na 0.304 0.968 0.082
Na 0.333 0.666 0.164
Na 0.032 0.696 0.582
Na 0.001 0.000 0.997
Na 0.365 0.362 0.249
Na 0.667 0.333 0.331
Na 0.334 0.667 0.664
Na 0.699 0.029 0.916
Na 0.971 0.301 0.416
Na 0.000 0.999 0.497
Sn 0.993 0.999 0.149
Sn 0.335 0.673 0.315
Sn 0.668 0.340 0.982
Sn 0.001 0.007 0.649
Sn 0.327 0.665 0.815
Sn 0.660 0.332 0.482
O 0.540 0.842 0.473
O 0.652 0.147 0.422
O 0.167 0.475 0.256
O 0.487 0.365 0.142
O 0.540 0.704 0.971
O 0.692 0.170 0.744
O 0.476 0.171 0.243
O 0.143 0.505 0.577
O 0.814 0.982 0.411
O 0.853 0.348 0.922
O 0.829 0.524 0.743
O 0.643 0.501 0.922
O 0.452 0.292 0.029
O 0.187 0.014 0.589
O 0.525 0.833 0.756
O 0.183 0.967 0.191
O 0.874 0.508 0.140
O 0.830 0.308 0.244
O 0.708 0.548 0.529
O 0.515 0.885 0.361
O 0.832 0.024 0.088
O 0.850 0.300 0.525
O 0.635 0.513 0.642
O 0.302 0.846 0.976
O 0.785 0.959 0.696
O 0.700 0.150 0.025
O 0.501 0.142 0.923
O 0.181 0.218 0.694
O 0.976 0.168 0.588
O 0.834 0.808 0.589
O 0.207 0.175 0.807
O 0.154 0.698 0.476
O 0.497 0.641 0.577
O 0.825 0.793 0.307
O 0.629 0.127 0.137
O 0.319 0.480 0.756
O 0.968 0.180 0.309
O 0.873 0.371 0.637
O 0.148 0.648 0.078
O 0.963 0.794 0.804
O 0.033 0.817 0.691
O 0.158 0.460 0.973
O 0.115 0.485 0.861
O 0.517 0.633 0.858
O 0.296 0.460 0.471
O 0.163 0.974 0.910
O 0.041 0.215 0.196
O 0.026 0.837 0.410
O 0.848 0.551 0.027
O 0.481 0.315 0.744
O 0.449 0.152 0.527
O 0.310 0.835 0.255
O 0.499 0.357 0.422
O 0.359 0.503 0.077
O 0.986 0.813 0.089
O 0.520 0.681 0.256
O 0.367 0.483 0.358
O 0.782 0.819 0.194
O 0.162 0.190 0.410
O 0.118 0.626 0.363
O 0.352 0.852 0.578
O 0.495 0.857 0.077
O 0.374 0.882 0.863
O 0.810 0.838 0.910
O 0.858 0.499 0.423
O 0.820 0.032 0.809
O 0.018 0.186 0.911
O 0.492 0.126 0.640
O 0.192 0.166 0.089
O 0.206 0.037 0.304
O 0.165 0.690 0.755
O 0.685 0.519 0.244
P 0.326 0.956 0.919
P 0.960 0.622 0.085
P 0.293 0.289 0.752
P 0.711 0.007 0.752
P 0.332 0.374 0.417
P 0.378 0.040 0.585
P 0.044 0.373 0.918
P 0.044 0.674 0.419
P 0.627 0.956 0.418
P 0.626 0.668 0.917
P 0.711 0.707 0.252
P 0.378 0.341 0.086
P 0.293 0.002 0.250
P 0.993 0.289 0.252
P 0.665 0.041 0.083
P 0.998 0.707 0.750
P 0.959 0.335 0.583
P 0.659 0.622 0.586
Ga 0.999 0.993 0.352
Ga 0.332 0.659 0.019
Ga 0.341 0.668 0.519
Ga 0.007 0.001 0.852
Ga 0.665 0.326 0.685
Ga 0.674 0.335 0.185
CELL_PARAMETERS angstrom
8.759 -0.032 0.006
-4.407 7.569 -0.006
0.014 -0.008 22.343
```

***

# Na4InSi2GePO12

A relaxed structure of Na4InSi2GePO12 (PBE, the Materials Project database). Values from VASP.

Computed properties:
Total energy   -796.44 eV per cell
ΔH_f (0 K)   -2509 meV per atom

```
&SYSTEM
  ibrav = 0, nat = 126, ntyp = 6
/
ATOMIC_SPECIES
O 16.00 O.upf
Na 22.99 Na.upf
Ge 72.64 Ge.upf
P 30.97 P.upf
In 114.82 In.upf
Si 28.09 Si.upf
ATOMIC_POSITIONS crystal
O 0.174 0.701 0.753
O 0.351 0.496 0.079
O 0.018 0.829 0.413
O 0.852 0.529 0.743
O 0.504 0.649 0.579
O 0.146 0.697 0.478
O 0.798 0.958 0.690
O 0.837 0.315 0.246
O 0.841 0.034 0.086
O 0.464 0.173 0.524
O 0.299 0.826 0.253
O 0.852 0.822 0.589
O 0.632 0.493 0.920
O 0.138 0.481 0.577
O 0.512 0.700 0.257
O 0.479 0.364 0.144
O 0.042 0.202 0.190
O 0.179 0.033 0.591
O 0.507 0.368 0.420
O 0.845 0.367 0.924
O 0.966 0.159 0.586
O 0.185 0.195 0.410
O 0.221 0.033 0.307
O 0.805 0.815 0.910
O 0.337 0.850 0.580
O 0.838 0.296 0.526
O 0.634 0.112 0.141
O 0.505 0.629 0.860
O 0.519 0.155 0.922
O 0.633 0.155 0.424
O 0.160 0.203 0.691
O 0.817 0.776 0.310
O 0.178 0.148 0.089
O 0.003 0.183 0.913
O 0.685 0.163 0.746
O 0.300 0.488 0.757
O 0.484 0.330 0.747
O 0.888 0.366 0.641
O 0.797 0.840 0.191
O 0.172 0.962 0.193
O 0.185 0.488 0.256
O 0.171 0.982 0.913
O 0.038 0.828 0.693
O 0.845 0.481 0.422
O 0.890 0.516 0.143
O 0.817 0.997 0.413
O 0.670 0.516 0.247
O 0.465 0.291 0.023
O 0.371 0.495 0.360
O 0.827 0.536 0.024
O 0.484 0.110 0.643
O 0.131 0.624 0.357
O 0.704 0.162 0.026
O 0.813 0.030 0.811
O 0.554 0.700 0.974
O 0.303 0.854 0.978
O 0.512 0.815 0.756
O 0.636 0.521 0.644
O 0.519 0.862 0.077
O 0.967 0.779 0.807
O 0.224 0.183 0.810
O 0.709 0.535 0.523
O 0.151 0.443 0.977
O 0.493 0.870 0.357
O 0.471 0.148 0.243
O 0.130 0.507 0.857
O 0.557 0.849 0.477
O 0.150 0.663 0.080
O 0.376 0.869 0.857
O 0.970 0.187 0.311
O 0.300 0.446 0.474
O 0.967 0.821 0.091
Na 0.662 0.695 0.084
Na 0.965 0.297 0.414
Na 0.305 0.338 0.584
Na 0.329 0.661 0.166
Na 0.325 0.293 0.917
Na 0.707 0.675 0.417
Na 0.339 0.671 0.666
Na 0.374 0.008 0.750
Na 0.703 0.035 0.914
Na 0.972 0.671 0.918
Na 0.995 0.362 0.751
Na 0.006 0.004 0.999
Na 0.996 0.994 0.499
Na 0.632 0.630 0.747
Na 0.662 0.328 0.832
Na 0.992 0.626 0.250
Na 0.658 0.960 0.583
Na 0.370 0.368 0.247
Na 0.329 0.028 0.418
Na 0.672 0.338 0.332
Na 0.638 0.005 0.251
Na 0.299 0.963 0.080
Na 0.040 0.342 0.083
Na 0.037 0.701 0.580
Ge 0.670 0.334 0.482
Ge 0.666 0.330 0.982
Ge 0.999 0.997 0.649
Ge 0.003 0.001 0.149
Ge 0.332 0.664 0.315
Ge 0.336 0.668 0.815
P 0.290 0.994 0.249
P 0.956 0.327 0.582
P 0.623 0.660 0.916
P 0.673 0.044 0.082
P 0.340 0.377 0.416
P 0.006 0.710 0.749
In 0.336 0.671 0.517
In 0.669 0.338 0.183
In 0.996 0.997 0.350
In 0.662 0.331 0.683
In 0.003 0.004 0.850
In 0.329 0.664 0.017
Si 0.006 0.296 0.251
Si 0.037 0.661 0.417
Si 0.624 0.964 0.417
Si 0.369 0.042 0.584
Si 0.339 0.963 0.917
Si 0.291 0.298 0.750
Si 0.672 0.629 0.584
Si 0.702 0.709 0.250
Si 0.958 0.631 0.084
Si 0.371 0.328 0.084
Si 0.036 0.376 0.917
Si 0.704 0.994 0.751
CELL_PARAMETERS angstrom
9.070 -0.028 0.086
-4.559 7.841 -0.086
0.223 -0.129 22.048
```

***

# CaInCu4

A relaxed structure of CaInCu4 (PBE, the Materials Project database). Values from VASP.

Computed properties:
Total energy   -22.16 eV per cell
ΔH_f (0 K)   -168 meV per atom

```
&SYSTEM
  ibrav = 0, nat = 6, ntyp = 3
/
ATOMIC_SPECIES
Ca 40.08 Ca.upf
In 114.82 In.upf
Cu 63.55 Cu.upf
ATOMIC_POSITIONS crystal
Ca 0.000 0.000 0.000
In 0.750 0.750 0.750
Cu 0.376 0.376 0.376
Cu 0.376 0.376 0.873
Cu 0.376 0.873 0.376
Cu 0.873 0.376 0.376
CELL_PARAMETERS angstrom
0.000 3.630 3.630
3.630 0.000 3.630
3.630 3.630 0.000
```

***

# H3Os4C12IO12

A relaxed structure of H3Os4C12IO12 (PBE, the Materials Project database). Values from VASP.

Computed properties:
Total energy   -491.75 eV per cell
ΔH_f (0 K)   -856 meV per atom

```
&SYSTEM
  ibrav = 0, nat = 64, ntyp = 5
/
ATOMIC_SPECIES
H 1.01 H.upf
Os 190.23 Os.upf
C 12.01 C.upf
I 126.90 I.upf
O 16.00 O.upf
ATOMIC_POSITIONS crystal
H 0.047 0.716 0.161
H 0.115 0.885 0.750
H 0.284 0.953 0.339
H 0.716 0.047 0.661
H 0.885 0.115 0.250
H 0.953 0.284 0.839
Os 0.079 0.095 0.756
Os 0.095 0.079 0.256
Os 0.181 0.731 0.127
Os 0.269 0.819 0.373
Os 0.731 0.181 0.627
Os 0.819 0.269 0.873
Os 0.905 0.921 0.744
Os 0.921 0.905 0.244
C 0.017 0.301 0.344
C 0.023 0.131 0.952
C 0.055 0.300 0.750
C 0.062 0.788 0.831
C 0.131 0.023 0.452
C 0.212 0.938 0.669
C 0.217 0.504 0.050
C 0.277 0.647 0.403
C 0.300 0.055 0.250
C 0.301 0.017 0.844
C 0.353 0.723 0.097
C 0.496 0.783 0.450
C 0.504 0.217 0.550
C 0.647 0.277 0.903
C 0.699 0.983 0.156
C 0.700 0.945 0.750
C 0.723 0.353 0.597
C 0.783 0.496 0.950
C 0.788 0.062 0.331
C 0.869 0.977 0.548
C 0.938 0.212 0.169
C 0.945 0.700 0.250
C 0.977 0.869 0.048
C 0.983 0.699 0.656
I 0.464 0.536 0.250
I 0.536 0.464 0.750
O 0.035 0.561 0.606
O 0.041 0.426 0.748
O 0.053 0.149 0.504
O 0.149 0.053 0.004
O 0.160 0.701 0.883
O 0.231 0.372 0.001
O 0.291 0.537 0.421
O 0.299 0.840 0.617
O 0.372 0.231 0.501
O 0.426 0.041 0.248
O 0.439 0.965 0.894
O 0.463 0.709 0.079
O 0.537 0.291 0.921
O 0.561 0.035 0.106
O 0.574 0.959 0.752
O 0.628 0.769 0.499
O 0.701 0.160 0.383
O 0.709 0.463 0.579
O 0.769 0.628 0.999
O 0.840 0.299 0.117
O 0.851 0.947 0.996
O 0.947 0.851 0.496
O 0.959 0.574 0.252
O 0.965 0.439 0.394
CELL_PARAMETERS angstrom
8.838 -4.106 0.000
8.838 4.106 0.000
-8.641 0.000 15.764
```